This record from the Materials Project describes crystalline CeU5O12 at its relaxed geometry. The functional is meta-GGA r2SCAN.

E_form = -67.70 eV per formula unit

a = 6.667 Å, b = 11.479 Å, c = 6.726 Å
α = 90.00°, β = 108.94°, γ = 90.00°
Space group C2/m (No. 12)
Asymmetric unit:
Ce: 0.000 0.000 0.000 (multiplicity 2)
U: 0.000 0.167 0.500 (multiplicity 4)
U: 0.000 0.333 0.000 (multiplicity 4)
U: 0.000 0.500 0.500 (multiplicity 2)
O: 0.109 0.500 0.860 (multiplicity 4)
O: 0.122 0.330 0.380 (multiplicity 8)
O: 0.128 0.000 0.385 (multiplicity 4)
O: 0.135 0.167 0.874 (multiplicity 8)